[1]
A relaxed structure of TbGaRh2, computed with r²SCAN.

Lattice parameters (Å, degrees): 4.5405 4.5405 4.5405 60.00 60.00 60.00
With the nearest neighbours (Å) after each atom.
Positions (direct):
Tb 0.7500 0.7500 0.7500  8 Rh 2.78
Ga 0.2500 0.2500 0.2500  8 Rh 2.78
Rh 0.0000 0.0000 0.0000  4 Tb 2.78, 4 Ga 2.78
Rh 0.5000 0.5000 0.5000  4 Ga 2.78, 4 Tb 2.78

Calculated values
The space group is Fm-3m (225). The formation energy comes out at -0.8566 eV per atom. The value obtained for the spin magnetization is 0.00 Bohr magnetons per cell.

=====

[2]
A relaxed structure of Cu, computed with r²SCAN.

Lattice parameters (Å, degrees): 2.5037 2.5037 24.5756 90.00 90.00 120.00
With the nearest neighbours (Å) after each atom.
Positions (direct):
Cu 0.6667 0.3333 0.9179  12 Cu 2.50-2.52
Cu 0.0000 0.0000 0.0021  9 Cu 2.50-2.52
Cu 0.3333 0.6667 0.8337  12 Cu 2.50-2.52
Cu 0.6667 0.3333 0.6654  12 Cu 2.50-2.52
Cu 0.0000 0.0000 0.7497  12 Cu 2.50-2.52
Cu 0.3333 0.6667 0.5813  9 Cu 2.50-2.52

Calculated values
As for the energy above the most stable polymorph in this dataset: 0.180 eV per formula unit. The space group is P-3m1 (164). The formation energy comes out at 0.1803 eV per atom. The value obtained for the spin magnetization is 0.00 Bohr magnetons per cell.

=====

[3]
A relaxed structure of NbP2, computed with r²SCAN.

Lattice parameters (Å, degrees): 3.3037 4.7410 6.8685 79.17 76.07 69.61
With the nearest neighbours (Å) after each atom.
Positions (direct):
Nb 0.1598 0.8811 0.7988  8 P 2.59-2.64
Nb 0.8402 0.1189 0.2012  8 P 2.59-2.64
P 0.4032 0.2927 0.9015  5 Nb 2.61-2.64, 3 P 2.78-2.90
P 0.5968 0.7073 0.0985  5 Nb 2.61-2.64, 3 P 2.78-2.90
P 0.8674 0.7386 0.5264  1 P 2.19
P 0.1326 0.2614 0.4736  1 P 2.19

Calculated values
The space group is C2/m (12). The formation energy comes out at -0.7278 eV per atom. The value obtained for the spin magnetization is 0.00 Bohr magnetons per cell.

=====

[4]
A relaxed structure of SrSiO3, computed with r²SCAN.

Lattice parameters (Å, degrees): 7.1363 7.1363 10.9045 71.42 71.42 60.16
With the nearest neighbours (Å) after each atom.
Positions (direct):
Sr 0.1538 0.6726 0.9991  8 O 2.46-2.74
Sr 0.3274 0.8462 0.5009  8 O 2.46-2.74
Sr 0.8462 0.3274 0.0009  8 O 2.46-2.74
Sr 0.6726 0.1538 0.4991  8 O 2.46-2.74
Sr 0.0000 0.5000 0.5000  8 O 2.48-2.73
Sr 0.5000 0.0000 0.0000  8 O 2.48-2.73
Si 0.3338 0.4183 0.7463  4 O 1.59-1.67
Si 0.5817 0.6662 0.7537  4 O 1.59-1.67
Si 0.6662 0.5817 0.2537  4 O 1.59-1.67
Si 0.4183 0.3338 0.2463  4 O 1.59-1.67
Si 0.8316 0.1684 0.7500  4 O 1.59-1.67
Si 0.1684 0.8316 0.2500  4 O 1.59-1.67
O 0.2806 0.4651 0.6051  1 Si 1.60
O 0.5349 0.7194 0.8949  1 Si 1.60
O 0.7194 0.5349 0.3949  1 Si 1.60
O 0.4651 0.2806 0.1051  1 Si 1.60
O 0.1834 0.3719 0.8847  1 Si 1.59
O 0.6281 0.8166 0.6153  1 Si 1.59
O 0.8166 0.6281 0.1153  1 Si 1.59
O 0.3719 0.1834 0.3847  1 Si 1.59
O 0.5827 0.2042 0.7482  2 Si 1.67
O 0.7958 0.4173 0.7518  2 Si 1.67
O 0.4173 0.7958 0.2518  2 Si 1.67
O 0.2042 0.5827 0.2482  2 Si 1.67
O 0.8875 0.0182 0.8892  1 Si 1.59
O 0.9818 0.1125 0.6108  1 Si 1.59
O 0.1125 0.9818 0.1108  1 Si 1.59
O 0.0182 0.8875 0.3892  1 Si 1.59
O 0.3686 0.6314 0.7500  2 Si 1.67
O 0.6314 0.3686 0.2500  2 Si 1.67

Calculated values
The space group is C2/c (15). The formation energy comes out at -3.2748 eV per atom. The value obtained for the spin magnetization is 0.00 Bohr magnetons per cell.

=====

[5]
A relaxed structure of Cu2GeP2H10O14, computed with r²SCAN.

Lattice parameters (Å, degrees): 8.4142 5.0801 13.2388 68.95 90.00 90.00
With the nearest neighbours (Å) after each atom.
Positions (direct):
Cu 0.9486 0.4707 0.2666  4 O 1.95-1.97
Cu 0.4486 0.5293 0.2334  4 O 1.95-1.97
Cu 0.0514 0.5293 0.7334  4 O 1.95-1.97
Cu 0.5514 0.4707 0.7666  4 O 1.95-1.97
Ge 0.0000 0.5000 0.0000  6 O 1.86-1.91
Ge 0.5000 0.5000 0.5000  6 O 1.86-1.91
P 0.1749 0.9000 0.0982  4 O 1.52-1.55
P 0.3251 0.9000 0.5982  4 O 1.52-1.55
P 0.6749 0.1000 0.4018  4 O 1.52-1.55
P 0.8251 0.1000 0.9018  4 O 1.52-1.55
H 0.7630 0.7617 0.6130  1 O 0.98
H 0.9599 0.1437 0.1694  1 O 0.99
H 0.2370 0.2383 0.3870  1 O 0.98
H 0.1298 0.5076 0.5579  1 O 0.98
H 0.4183 0.2001 0.1291  1 O 0.99
H 0.6298 0.4924 0.9421  1 O 0.98
H 0.4599 0.8563 0.3306  1 O 0.99
H 0.3702 0.5076 0.0579  1 O 0.98
H 0.7370 0.7617 0.1130  1 O 0.98
H 0.6996 0.9564 0.1772  1 O 0.97
H 0.9183 0.7999 0.3709  1 O 0.99
H 0.0401 0.8563 0.8306  1 O 0.99
H 0.0817 0.2001 0.6291  1 O 0.99
H 0.5401 0.1437 0.6694  1 O 0.99
H 0.8004 0.9564 0.6772  1 O 0.97
H 0.2630 0.2383 0.8870  1 O 0.98
H 0.8702 0.4924 0.4421  1 O 0.98
H 0.1996 0.0436 0.3228  1 O 0.97
H 0.3004 0.0436 0.8228  1 O 0.97
H 0.5817 0.7999 0.8709  1 O 0.99
O 0.8421 0.1167 0.3549  1 P 1.53, 1 H 1.67
O 0.8504 0.7965 0.9838  1 P 1.55
O 0.6579 0.1167 0.8549  1 P 1.53, 1 H 1.67
O 0.5455 0.1668 0.3158  1 P 1.52, 1 H 1.68
O 0.1579 0.8833 0.6451  1 P 1.53, 1 H 1.67
O 0.8301 0.3021 0.9654  1 P 1.54
O 0.1496 0.2035 0.0162  1 P 1.55
O 0.6950 0.7616 0.1819  2 H 0.97-0.98
O 0.9496 0.5994 0.3894  2 H 0.98-0.99
O 0.4346 0.6527 0.3567  1 H 0.99
O 0.6699 0.3021 0.4654  1 P 1.54
O 0.9545 0.1668 0.8158  1 P 1.52, 1 H 1.68
O 0.5654 0.3473 0.6433  1 H 0.99
O 0.3421 0.8833 0.1451  1 P 1.53, 1 H 1.67
O 0.3301 0.6979 0.5346  1 P 1.54
O 0.3504 0.2035 0.5162  1 P 1.55
O 0.0455 0.8332 0.1842  1 P 1.52, 1 H 1.68
O 0.9346 0.3473 0.1433  1 H 0.99
O 0.4496 0.4006 0.1106  2 H 0.98-0.99
O 0.5504 0.5994 0.8894  2 H 0.98-0.99
O 0.6496 0.7965 0.4838  1 P 1.55
O 0.8050 0.7616 0.6819  2 H 0.97-0.98
O 0.1950 0.2384 0.3181  2 H 0.97-0.98
O 0.3050 0.2384 0.8181  2 H 0.97-0.98
O 0.0654 0.6527 0.8567  1 H 0.99
O 0.4545 0.8332 0.6842  1 P 1.52, 1 H 1.68
O 0.1699 0.6979 0.0346  1 P 1.54
O 0.0504 0.4006 0.6106  2 H 0.98-0.99

Calculated values
The space group is P2_1/c (14). The formation energy comes out at -1.4424 eV per atom. The value obtained for the spin magnetization is 4.00 Bohr magnetons per cell.

=====

[6]
A relaxed structure of Cs2MgH4, computed with r²SCAN.

Lattice parameters (Å, degrees): 4.2998 4.2998 8.0167 105.56 105.56 90.00
With the nearest neighbours (Å) after each atom.
Positions (direct):
Cs 0.6463 0.6463 0.2926  9 H 3.05-3.31
Cs 0.3537 0.3537 0.7074  9 H 3.05-3.31
Mg 0.0000 0.0000 0.0000  6 H 1.94-2.15
H 0.0000 0.5000 0.0000  2 Mg 2.15
H 0.5000 0.0000 0.0000  2 Mg 2.15
H 0.8691 0.8691 0.7383  1 Mg 1.94
H 0.1309 0.1309 0.2617  1 Mg 1.94

Calculated values
The space group is I4/mmm (139). The formation energy comes out at -0.3157 eV per atom. The value obtained for the spin magnetization is 0.00 Bohr magnetons per cell.

=====

[7]
A relaxed structure of Ba2Fe2O5, computed with r²SCAN.

Lattice parameters (Å, degrees): 5.6237 5.6237 9.0746 71.95 71.95 89.99
With the nearest neighbours (Å) after each atom.
Positions (direct):
Ba 0.0000 0.0000 0.0000  8 O 2.74
Ba 0.5000 0.5000 0.0000  8 O 2.74
Ba 0.7500 0.7500 0.5000  12 O 2.81-2.96
Ba 0.2500 0.2500 0.5000  12 O 2.81-2.96
Fe 0.8655 0.3655 0.2692  5 O 1.88-2.01
Fe 0.1345 0.6345 0.7308  5 O 1.88-2.01
Fe 0.3655 0.8655 0.2692  5 O 1.88-2.01
Fe 0.6345 0.1345 0.7308  5 O 1.88-2.01
O 0.2500 0.7500 0.5000  2 Fe 1.88
O 0.7500 0.2500 0.5000  2 Fe 1.88
O 0.1346 0.6346 0.2309  2 Fe 2.01
O 0.6346 0.1346 0.2309  2 Fe 2.01
O 0.8654 0.3654 0.7691  2 Fe 2.01
O 0.3654 0.8654 0.7691  2 Fe 2.01
O 0.1345 0.1346 0.2309  2 Fe 2.01
O 0.6346 0.6345 0.2309  2 Fe 2.01
O 0.8655 0.8654 0.7691  2 Fe 2.01
O 0.3654 0.3655 0.7691  2 Fe 2.01

Calculated values
The formation energy comes out at -2.2693 eV per atom. The value obtained for the spin magnetization is 0.00 Bohr magnetons per cell.

=====

[8]
A relaxed structure of Hf6CoSb2, computed with r²SCAN.

Lattice parameters (Å, degrees): 7.7022 7.7022 3.5556 90.00 90.00 120.00
With the nearest neighbours (Å) after each atom.
Positions (direct):
Hf 0.2390 0.0000 0.5000  2 Co 2.56
Hf 0.0000 0.2390 0.5000  2 Co 2.56
Hf 0.7610 0.7610 0.5000  2 Co 2.56
Hf 0.6024 0.0000 0.0000  4 Sb 2.95, 1 Co 3.06, 4 Hf 3.21
Hf 0.0000 0.6024 0.0000  4 Sb 2.95, 1 Co 3.06, 4 Hf 3.21
Hf 0.3976 0.3976 0.0000  4 Sb 2.95, 1 Co 3.06, 4 Hf 3.21
Co 0.0000 0.0000 0.0000  6 Hf 2.56
Sb 0.3333 0.6667 0.5000  9 Hf 2.95-3.00
Sb 0.6667 0.3333 0.5000  9 Hf 2.95-3.00

Calculated values
The space group is P-62m (189). The formation energy comes out at -0.5111 eV per atom. The value obtained for the spin magnetization is 0.00 Bohr magnetons per cell.